Here is a relaxed structure of CsCo2As2 from the Materials Project database. Energies are from PBE.

## Properties
**Raw total energy**: -26.37 eV for the cell shown
**Theoretical density**: 6.04 g/cm³
**SG**: No. 139

Structure (CIF):
```
data_CsCo2As2
_symmetry_space_group_name_H-M 'P 1'
_symmetry_Int_Tables_number 1
_cell_length_a 7.983
_cell_length_b 7.983
_cell_length_c 7.983
_cell_angle_alpha 152.24
_cell_angle_beta 152.24
_cell_angle_gamma 39.66
loop_
_symmetry_equiv_pos_as_xyz
'x,y,z'
loop_
_atom_site_label
_atom_site_fract_x
_atom_site_fract_y
_atom_site_fract_z
_atom_site_occupancy
Cs1 0.000 0.000 0.000 1
Co1 0.250 0.750 0.500 1
Co2 0.750 0.250 0.500 1
As1 0.336 0.336 0.000 1
As2 0.664 0.664 0.000 1
```